No. 1
Material: V4O9
Method: DFT, GGA+U
State: optimized geometry

Properties
E (MP2020) = -8.57 eV per atom
Mass density = 3.6 g cm⁻³
Energy relative to the elements = -2.352 eV per atom
Total DFT energy (no corrections) = -0.278 Ha/atom
Calculated volume = 12.383 Å³ per atom

Unit cell a=3.7036 b=9.5555 c=18.1957 alpha=90.00 beta=90.00 gamma=90.00
Positions (direct):
O (0.7500, 0.6470, 0.6036)
O (0.7500, 0.1492, 0.1552)
O (0.7500, 0.2775, 0.9771)
O (0.7500, 0.5087, 0.2979)
O (0.7500, 0.5525, 0.0493)
O (0.2500, 0.8508, 0.8448)
O (0.7500, 0.6561, 0.9152)
O (0.7500, 0.3508, 0.6552)
O (0.2500, 0.1561, 0.5848)
O (0.2500, 0.1470, 0.8964)
O (0.2500, 0.4065, 0.5447)
O (0.2500, 0.6492, 0.3448)
O (0.7500, 0.8168, 0.2601)
O (0.7500, 0.2225, 0.4771)
O (0.2500, 0.1832, 0.7399)
O (0.7500, 0.5935, 0.4553)
O (0.2500, 0.7775, 0.5229)
O (0.7500, 0.9913, 0.7979)
O (0.2500, 0.9169, 0.6633)
O (0.7500, 0.9065, 0.9553)
O (0.7500, 0.8439, 0.4152)
O (0.2500, 0.0525, 0.4507)
O (0.2500, 0.0087, 0.2021)
O (0.2500, 0.3439, 0.0848)
O (0.2500, 0.3530, 0.3964)
O (0.2500, 0.7225, 0.0229)
O (0.2500, 0.3168, 0.2399)
O (0.2500, 0.5831, 0.1633)
O (0.7500, 0.4169, 0.8367)
O (0.7500, 0.6832, 0.7601)
O (0.2500, 0.4913, 0.7021)
O (0.7500, 0.9475, 0.5493)
O (0.7500, 0.0831, 0.3367)
O (0.2500, 0.4475, 0.9507)
O (0.7500, 0.8530, 0.1036)
O (0.2500, 0.0935, 0.0447)
V (0.7500, 0.0360, 0.4220)
V (0.2500, 0.4539, 0.3171)
V (0.7500, 0.5461, 0.6829)
V (0.7500, 0.7704, 0.0098)
V (0.7500, 0.9539, 0.1829)
V (0.7500, 0.7966, 0.8323)
V (0.2500, 0.2296, 0.9902)
V (0.2500, 0.0461, 0.8171)
V (0.2500, 0.2966, 0.6677)
V (0.7500, 0.7296, 0.5098)
V (0.7500, 0.7034, 0.3323)
V (0.2500, 0.2704, 0.4902)
V (0.2500, 0.9640, 0.5780)
V (0.2500, 0.5360, 0.0780)
V (0.7500, 0.4640, 0.9220)
V (0.2500, 0.2034, 0.1677)


No. 2
Material: Ca2AlNiO5
Method: DFT, GGA+U
State: optimized geometry

Properties
E (MP2020) = -6.98 eV per atom
Mass density = 3.8 g cm⁻³
Energy relative to the elements = -2.722 eV per atom
Total DFT energy (no corrections) = -0.232 Ha/atom
Calculated volume = 11.908 Å³ per atom

Unit cell a=8.1957 b=8.1957 c=8.1957 alpha=142.69 beta=139.66 gamma=56.11
Positions (direct):
O (0.2806, 0.3843, 0.9592)
O (0.7385, 0.7322, 0.5057)
O (0.2735, 0.2672, 0.5057)
O (0.2615, 0.7672, 0.9937)
O (0.0749, 0.1786, 0.9592)
O (0.6071, 0.3734, 0.4804)
O (0.7265, 0.2322, 0.9937)
O (0.3929, 0.8734, 0.7663)
O (0.7194, 0.6786, 0.1036)
O (0.9251, 0.8843, 0.1036)
Ca (0.3568, 0.8832, 0.4590)
Ca (0.0757, 0.6022, 0.4590)
Ca (0.9243, 0.3832, 0.5265)
Ca (0.6432, 0.1022, 0.5265)
Ni (0.0000, 0.0056, 0.0056)
Ni (0.5000, 0.5056, 0.0056)
Al (0.6719, 0.7101, 0.8820)
Al (0.3281, 0.2101, 0.0382)


No. 3
Material: La2MgCo2Sb2Pb2O12
Method: DFT, GGA+U
State: optimized geometry

Properties
E (MP2020) = -6.98 eV per atom
Mass density = 6.6 g cm⁻³
Energy relative to the elements = -2.181 eV per atom
Total DFT energy (no corrections) = -0.236 Ha/atom
Calculated volume = 15.212 Å³ per atom

Unit cell a=5.9066 b=6.0283 c=9.0791 alpha=93.01 beta=82.49 gamma=93.92
Positions (direct):
O (0.4021, 0.2800, 0.4747)
O (0.2962, 0.3177, 0.9971)
O (0.6824, 0.7012, 0.5688)
O (0.2653, 0.8679, 0.1025)
O (0.0177, 0.4350, 0.3278)
O (0.1306, 0.5233, 0.7543)
O (0.6603, 0.7267, 0.9302)
O (0.2433, 0.8238, 0.4782)
O (0.6827, 0.9561, 0.3108)
O (0.7842, 0.2267, 0.9195)
O (0.4064, 0.0362, 0.7363)
O (0.8091, 0.1917, 0.5673)
Pb (0.4944, 0.6240, 0.1679)
Pb (0.9866, 0.9444, 0.7481)
Mg (0.1499, 0.5010, 0.5229)
La (0.5441, 0.4364, 0.7663)
La (0.0797, 0.0575, 0.3014)
Sb (0.0111, 0.4755, 0.9759)
Sb (0.5369, 0.9815, 0.5215)
Co (0.4894, 0.0105, 0.9509)
Co (0.7086, 0.4455, 0.4193)


No. 4
Material: LiCr2Cu2W4O16
Method: DFT, GGA+U
State: optimized geometry

Properties
E (MP2020) = -8.36 eV per atom
Mass density = 7.3 g cm⁻³
Energy relative to the elements = -1.948 eV per atom
Total DFT energy (no corrections) = -0.259 Ha/atom
Calculated volume = 11.166 Å³ per atom

Unit cell a=5.0289 b=7.5177 c=7.5196 alpha=100.81 beta=90.86 gamma=90.91
Positions (direct):
O (0.4319, 0.9228, 0.8042)
O (0.4248, 0.4123, 0.3148)
O (0.0800, 0.1951, 0.0736)
O (0.9339, 0.3055, 0.4071)
O (0.0631, 0.6936, 0.5938)
O (0.5953, 0.2939, 0.9366)
O (0.5957, 0.8097, 0.4230)
O (0.9109, 0.0533, 0.7056)
O (0.9089, 0.5831, 0.1883)
O (0.1135, 0.4310, 0.8132)
O (0.5610, 0.5958, 0.6950)
O (0.0800, 0.9408, 0.3012)
O (0.9230, 0.8045, 0.9246)
O (0.4200, 0.6974, 0.0600)
O (0.5734, 0.0781, 0.1944)
O (0.3868, 0.1833, 0.5674)
Cr (0.2537, 0.1782, 0.8244)
Cr (0.7521, 0.8176, 0.1802)
Cu (0.2485, 0.6619, 0.3329)
Cu (0.7503, 0.3339, 0.6641)
W (0.7446, 0.3475, 0.1762)
W (0.2503, 0.1656, 0.3324)
W (0.2447, 0.6662, 0.8403)
W (0.7444, 0.8230, 0.6501)
Li (0.7591, 0.0503, 0.9520)


No. 5
Material: FeAgP2O7
Method: DFT, GGA+U
State: optimized geometry

Properties
E (MP2020) = -7.35 eV per atom
Mass density = 4.1 g cm⁻³
Energy relative to the elements = -2.194 eV per atom
Total DFT energy (no corrections) = -0.247 Ha/atom
Calculated volume = 12.376 Å³ per atom

Unit cell a=8.1068 b=7.4430 c=9.7154 alpha=68.27 beta=90.00 gamma=90.00
Positions (direct):
Fe (0.4914, 0.2399, 0.7507)
Fe (0.0086, 0.2399, 0.2507)
Fe (0.5086, 0.7601, 0.2493)
Fe (0.9914, 0.7601, 0.7493)
O (0.9141, 0.0353, 0.6524)
O (0.8459, 0.3811, 0.5539)
O (0.3654, 0.3187, 0.8930)
O (0.1541, 0.6189, 0.4461)
O (0.6541, 0.3811, 0.0539)
O (0.7094, 0.6905, 0.3814)
O (0.0859, 0.9647, 0.3476)
O (0.6111, 0.1401, 0.6024)
O (0.2094, 0.3095, 0.1186)
O (0.0889, 0.4921, 0.8605)
O (0.2906, 0.3095, 0.6186)
O (0.8654, 0.6813, 0.6070)
O (0.5889, 0.5079, 0.6395)
O (0.3032, 0.8131, 0.1137)
O (0.3459, 0.6189, 0.9461)
O (0.6968, 0.1869, 0.8863)
O (0.9111, 0.5079, 0.1395)
O (0.5859, 0.0353, 0.1524)
O (0.1346, 0.3187, 0.3930)
O (0.1111, 0.8599, 0.8976)
O (0.4141, 0.9647, 0.8476)
O (0.8889, 0.1401, 0.1024)
O (0.7906, 0.6905, 0.8814)
O (0.6346, 0.6813, 0.1070)
O (0.4111, 0.4921, 0.3605)
O (0.8032, 0.1869, 0.3863)
O (0.3889, 0.8599, 0.3976)
O (0.1968, 0.8131, 0.6137)
P (0.7536, 0.5746, 0.0443)
P (0.2912, 0.8257, 0.9536)
P (0.2088, 0.8257, 0.4536)
P (0.2464, 0.4254, 0.9557)
P (0.7464, 0.5746, 0.5443)
P (0.7912, 0.1743, 0.5464)
P (0.2536, 0.4254, 0.4557)
P (0.7088, 0.1743, 0.0464)
Ag (0.4737, 0.2060, 0.3101)
Ag (0.5263, 0.7940, 0.6899)
Ag (0.9737, 0.7940, 0.1899)
Ag (0.0263, 0.2060, 0.8101)


No. 6
Material: ZnCr2Cu2O8
Method: DFT, GGA+U
State: optimized geometry

Properties
E (MP2020) = -6.71 eV per atom
Mass density = 4.4 g cm⁻³
Energy relative to the elements = -1.451 eV per atom
Total DFT energy (no corrections) = -0.220 Ha/atom
Calculated volume = 12.373 Å³ per atom

Unit cell a=6.4833 b=8.3196 c=11.9292 alpha=90.00 beta=90.60 gamma=90.00
Positions (direct):
Zn (0.8850, 0.6585, 0.4518)
Zn (0.1150, 0.1585, 0.0482)
Zn (0.8850, 0.8415, 0.9518)
Zn (0.1150, 0.3415, 0.5482)
Cr (0.6107, 0.4109, 0.6318)
Cr (0.8973, 0.5392, 0.1533)
Cr (0.3893, 0.9109, 0.8682)
Cr (0.8973, 0.9608, 0.6533)
Cr (0.6107, 0.0891, 0.1318)
Cr (0.1027, 0.4608, 0.8467)
Cr (0.1027, 0.0392, 0.3467)
Cr (0.3893, 0.5891, 0.3682)
O (0.6703, 0.4875, 0.0975)
O (0.4832, 0.3970, 0.3605)
O (0.3297, 0.9875, 0.4025)
O (0.3187, 0.8672, 0.7271)
O (0.4086, 0.2798, 0.5845)
O (0.4832, 0.1030, 0.8605)
O (0.3297, 0.5125, 0.9025)
O (0.5168, 0.6030, 0.6395)
O (0.5914, 0.7202, 0.4155)
O (0.9635, 0.7265, 0.1072)
O (0.3187, 0.6328, 0.2271)
O (0.1859, 0.9189, 0.9734)
O (0.6703, 0.0125, 0.5975)
O (0.4086, 0.2202, 0.0845)
O (0.8788, 0.5363, 0.2924)
O (0.5914, 0.7798, 0.9155)
O (0.8141, 0.4189, 0.5266)
O (0.6813, 0.1328, 0.2729)
O (0.1212, 0.4637, 0.7076)
O (0.0365, 0.2735, 0.8928)
O (0.9208, 0.5985, 0.8842)
O (0.5168, 0.8970, 0.1395)
O (0.9208, 0.9015, 0.3842)
O (0.0792, 0.4015, 0.1158)
O (0.1859, 0.5811, 0.4734)
O (0.6813, 0.3672, 0.7729)
O (0.0792, 0.0985, 0.6158)
O (0.0365, 0.2265, 0.3928)
O (0.1212, 0.0363, 0.2076)
O (0.8141, 0.0811, 0.0266)
O (0.8788, 0.9637, 0.7924)
O (0.9635, 0.7735, 0.6072)
Cu (0.6169, 0.5591, 0.8649)
Cu (0.3831, 0.0591, 0.6351)
Cu (0.7542, 0.3153, 0.3726)
Cu (0.2458, 0.6847, 0.6274)
Cu (0.2458, 0.8153, 0.1274)
Cu (0.7542, 0.1847, 0.8726)
Cu (0.3831, 0.4409, 0.1351)
Cu (0.6169, 0.9409, 0.3649)